No. 1
Computed, not measured: a relaxed structure of Pr2MgSe4 at the PBE level of DFT.

Values from the calculation:
The value obtained for the density is 4.7 g/cm3. The calculation puts the MP2020-corrected energy at -5.519 eV per atom. The value obtained for the formation energy is -13.5 eV/f.u. The space-group type is No. 62. The total DFT energy (no corrections) comes out at -5.249 eV/atom.

```
data_Pr2MgSe4
_chemical_formula_sum 'Pr8 Mg4 Se16'
_space_group_name_H-M_alt 'P 1'
_space_group_IT_number 1
_space_group_name_Hall 'P 1'
_cell_length_a 6.9778
_cell_length_b 8.6266
_cell_length_c 14.7208
_cell_angle_alpha 90.00
_cell_angle_beta 90.00
_cell_angle_gamma 90.00
loop_
_atom_site_label
_atom_site_type_symbol
_atom_site_fract_x
_atom_site_fract_y
_atom_site_fract_z
Se1 Se 0.7517 0.0149 0.6682
Se2 Se 0.2517 0.5149 0.8318
Se3 Se 0.7517 0.4851 0.6682
Se4 Se 0.2483 0.9851 0.3318
Se5 Se 0.2517 0.9851 0.8318
Se6 Se 0.7568 0.2500 0.9320
Se7 Se 0.2172 0.2500 0.5923
Se8 Se 0.7483 0.0149 0.1682
Se9 Se 0.7172 0.7500 0.9077
Se10 Se 0.7828 0.7500 0.4077
Se11 Se 0.2828 0.2500 0.0923
Se12 Se 0.2568 0.7500 0.5680
Se13 Se 0.7432 0.2500 0.4320
Se14 Se 0.7483 0.4851 0.1682
Se15 Se 0.2483 0.5149 0.3318
Se16 Se 0.2432 0.7500 0.0680
Mg1 Mg 0.9185 0.2500 0.0922
Mg2 Mg 0.5815 0.2500 0.5922
Mg3 Mg 0.0815 0.7500 0.9078
Mg4 Mg 0.4185 0.7500 0.4078
Pr1 Pr 0.4998 0.7500 0.7327
Pr2 Pr 0.0002 0.7500 0.2327
Pr3 Pr 0.0000 0.5000 0.5000
Pr4 Pr 0.5000 0.5000 0.0000
Pr5 Pr 0.9998 0.2500 0.7673
Pr6 Pr 0.0000 0.0000 0.5000
Pr7 Pr 0.5000 0.0000 0.0000
Pr8 Pr 0.5002 0.2500 0.2673
```

No. 2
Computed, not measured: a relaxed structure of NaPr3 at the PBE level of DFT.

Values from the calculation:
The value obtained for the density is 5.2 g/cm3. The value obtained for the formation energy is 0.9 eV/f.u. The space-group type is No. 221. The total DFT energy (no corrections) comes out at -3.683 eV/atom.

```
data_NaPr3
_chemical_formula_sum 'Na1 Pr3'
_space_group_name_H-M_alt 'P 1'
_space_group_IT_number 1
_space_group_name_Hall 'P 1'
_cell_length_a 5.2056
_cell_length_b 5.2056
_cell_length_c 5.2056
_cell_angle_alpha 90.00
_cell_angle_beta 90.00
_cell_angle_gamma 90.00
loop_
_atom_site_label
_atom_site_type_symbol
_atom_site_fract_x
_atom_site_fract_y
_atom_site_fract_z
Pr1 Pr 0.5000 0.5000 0.0000
Pr2 Pr 0.0000 0.5000 0.5000
Pr3 Pr 0.5000 0.0000 0.5000
Na1 Na 0.0000 0.0000 0.0000
```